No. 1
VASP calculation (r2SCAN) on NpS after structural relaxation.

Values from the calculation:
Energy of formation, eV/atom: -1.91
Electronic total energy, eV per formula unit: -94.9
Mass density, Mg/m³: 10.2
Size of the total moment, μB/f.u.: 4.13

The structure in POSCAR format:
```
NpS
1.0
3.422 0.000 1.976
1.141 3.226 1.976
0.000 0.000 3.951
Np S
1 1
Direct
0.000 0.000 0.000 Np
0.500 0.500 0.500 S
```

No. 2
VASP calculation (r2SCAN) on Np3Se5 after structural relaxation.

Values from the calculation:
Energy of formation, eV/atom: -1.86
Electronic total energy, eV per formula unit: -335.5
Mass density, Mg/m³: 9.0
Size of the total moment, μB/f.u.: 11.00

The structure in POSCAR format:
```
Np3Se5
1.0
7.837 0.000 0.000
0.000 8.381 0.000
0.000 0.000 12.439
Np Se
12 20
Direct
0.980 0.499 0.321 Np
0.520 0.001 0.821 Np
0.020 0.999 0.679 Np
0.480 0.501 0.179 Np
0.020 0.501 0.679 Np
0.480 0.999 0.179 Np
0.980 0.001 0.321 Np
0.520 0.499 0.821 Np
0.931 0.750 0.007 Np
0.569 0.750 0.507 Np
0.069 0.250 0.993 Np
0.431 0.250 0.493 Np
0.833 0.044 0.098 Se
0.667 0.456 0.598 Se
0.167 0.544 0.902 Se
0.333 0.956 0.402 Se
0.167 0.956 0.902 Se
0.333 0.544 0.402 Se
0.833 0.456 0.098 Se
0.667 0.044 0.598 Se
0.542 0.750 0.001 Se
0.958 0.750 0.501 Se
0.458 0.250 0.999 Se
0.042 0.250 0.499 Se
0.171 0.750 0.186 Se
0.329 0.750 0.686 Se
0.829 0.250 0.814 Se
0.671 0.250 0.314 Se
0.697 0.750 0.285 Se
0.803 0.750 0.785 Se
0.303 0.250 0.715 Se
0.197 0.250 0.215 Se
```

No. 3
VASP calculation (r2SCAN) on NpSe after structural relaxation.

Values from the calculation:
Energy of formation, eV/atom: -1.62
Electronic total energy, eV per formula unit: -100.6
Mass density, Mg/m³: 10.5
Size of the total moment, μB/f.u.: 4.30

The structure in POSCAR format:
```
NpSe
1.0
-1.401 0.227 3.885
-1.840 -3.276 1.730
1.910 -2.093 3.013
Np Se
1 1
Direct
0.000 0.000 0.000 Np
0.500 0.500 0.500 Se
```

No. 4
VASP calculation (r2SCAN) on Np2Si4Tc3 after structural relaxation.

Values from the calculation:
Energy of formation, eV/atom: -0.66
Electronic total energy, eV per formula unit: -285.0
Mass density, Mg/m³: 9.7
Size of the total moment, μB/f.u.: 6.92

The structure in POSCAR format:
```
Np2Si4Tc3
1.0
8.100 0.000 0.000
0.000 5.642 -0.022
0.000 1.625 6.610
Np Si Tc
4 8 6
Direct
0.936 0.574 0.252 Np
0.436 0.926 0.748 Np
0.064 0.426 0.748 Np
0.564 0.074 0.252 Np
0.591 0.616 0.120 Si
0.091 0.884 0.880 Si
0.409 0.384 0.880 Si
0.909 0.116 0.120 Si
0.752 0.722 0.584 Si
0.252 0.778 0.416 Si
0.248 0.278 0.416 Si
0.748 0.222 0.584 Si
0.293 0.613 0.114 Tc
0.792 0.887 0.886 Tc
0.707 0.387 0.886 Tc
0.208 0.113 0.114 Tc
0.500 0.500 0.500 Tc
0.000 0.000 0.500 Tc
```

No. 5
VASP calculation (r2SCAN) on Np3Te4 after structural relaxation.

Values from the calculation:
Energy of formation, eV/atom: -1.40
Electronic total energy, eV per formula unit: -360.6
Mass density, Mg/m³: 9.4
Size of the total moment, μB/f.u.: 13.00

The structure in POSCAR format:
```
Np3Te4
1.0
7.742 -0.052 -2.717
-3.827 6.742 -2.754
-0.023 0.010 8.258
Np Te
6 8
Direct
0.122 0.752 0.874 Np
0.625 0.373 0.251 Np
0.373 0.249 0.623 Np
0.750 0.877 0.127 Np
0.250 0.627 0.376 Np
0.873 0.123 0.750 Np
0.650 0.648 0.649 Te
0.998 0.850 0.498 Te
0.853 0.500 0.001 Te
0.003 0.353 0.502 Te
0.499 0.999 0.850 Te
0.500 0.000 0.351 Te
0.353 0.500 0.000 Te
0.149 0.149 0.149 Te
```

No. 6
VASP calculation (r2SCAN) on NpTe2 after structural relaxation.

Values from the calculation:
Energy of formation, eV/atom: -1.20
Electronic total energy, eV per formula unit: -137.5
Mass density, Mg/m³: 9.0
Size of the total moment, μB/f.u.: 4.03

The structure in POSCAR format:
```
NpTe2
1.0
4.488 0.000 0.000
0.000 4.488 0.000
0.000 0.000 9.058
Np Te
2 4
Direct
0.750 0.750 0.729 Np
0.250 0.250 0.271 Np
0.750 0.750 0.365 Te
0.250 0.250 0.635 Te
0.750 0.250 0.000 Te
0.250 0.750 0.000 Te
```